VASP calculation (PBE+U) on an optimized crystal structure of NaZr2NiF11.

CIF file:
```
data_NaZr2NiF11
_space_group_name_H-M_alt 'C 1 2/m 1'
_space_group_IT_number 12
_cell_length_a 9.207
_cell_length_b 6.787
_cell_length_c 7.870
_cell_angle_alpha 90.00
_cell_angle_beta 116.12
_cell_angle_gamma 90.00
loop_
_space_group_symop_operation_xyz
'x,y,z'
'-x,-y,-z'
'-x,y,-z'
'x,-y,z'
'x+1/2,y+1/2,z'
'-x+1/2,-y+1/2,-z'
'-x+1/2,y+1/2,-z'
'x+1/2,-y+1/2,z'
loop_
_atom_site_label
_atom_site_fract_x
_atom_site_fract_y
_atom_site_fract_z
_atom_site_occupancy
Na1 0.000 0.000 0.000 1
Zr1 0.008 0.500 0.238 1
Ni1 0.000 0.000 0.500 1
F1 0.000 0.328 0.000 1
F2 0.000 0.500 0.500 1
F3 0.017 0.203 0.315 1
F4 0.232 0.500 0.889 1
F5 0.244 0.000 0.648 1
```

Properties
E_tot ... -182.62 eV per cell
Formation enthalpy at 0 K ... -3578 meV/atom
Calculated density ... 3.6 g/cm3

---

VASP calculation (PBE+U) on an optimized crystal structure of CrO3.

CIF file:
```
data_CrO3
_space_group_name_H-M_alt 'A m a 2'
_space_group_IT_number 40
_cell_length_a 5.788
_cell_length_b 8.405
_cell_length_c 5.080
_cell_angle_alpha 90.00
_cell_angle_beta 90.00
_cell_angle_gamma 90.00
loop_
_space_group_symop_operation_xyz
'x,y,z'
'-x,-y,z'
'-x+1/2,y,z'
'x+1/2,-y,z'
'x,y+1/2,z+1/2'
'-x,-y+1/2,z+1/2'
'-x+1/2,y+1/2,z+1/2'
'x+1/2,-y+1/2,z+1/2'
loop_
_atom_site_label
_atom_site_fract_x
_atom_site_fract_y
_atom_site_fract_z
_atom_site_occupancy
Cr1 0.250 0.105 0.000 1
O1 0.000 0.000 0.103 1
O2 0.250 0.129 0.690 1
O3 0.250 0.276 0.136 1
```

Properties
E above lowest polymorph ... 10 meV/atom
E_tot ... -105.76 eV per cell
Formation enthalpy at 0 K ... -1501 meV/atom
Calculated density ... 2.7 g/cm3